Density functional theory data (PBE) for a relaxed MgSiO3 crystal.

The value obtained for the formation energy is -3.226 eV per atom. The value obtained for the total energy is -575.01 eV for the cell shown.

Geometry as CIF:
```
data_MgSiO3
_cell_length_a 18.773
_cell_length_b 8.922
_cell_length_c 5.337
_cell_angle_alpha 90.00
_cell_angle_beta 94.45
_cell_angle_gamma 90.00
_space_group_name_H-M_alt 'P 1 c 1'
_space_group_IT_number 7
_space_group_name_Hall 'P -2yc'
loop_
_atom_site_label
_atom_site_type_symbol
_atom_site_fract_x
_atom_site_fract_y
_atom_site_fract_z
Mg1 Mg 0.000 0.100 0.000
Mg2 Mg 0.000 0.256 0.497
Mg3 Mg 0.247 0.401 0.509
Mg4 Mg 0.248 0.242 0.008
Mg5 Mg 0.497 0.260 0.938
Mg6 Mg 0.498 0.100 0.439
Mg7 Mg 0.749 0.241 0.882
Mg8 Mg 0.750 0.399 0.381
Si1 Si 0.101 0.412 0.816
Si2 Si 0.148 0.088 0.377
Si3 Si 0.350 0.090 0.732
Si4 Si 0.394 0.411 0.212
Si5 Si 0.602 0.410 0.670
Si6 Si 0.644 0.089 0.146
Si7 Si 0.854 0.088 0.623
Si8 Si 0.897 0.410 0.088
O1 O 0.060 0.091 0.347
O2 O 0.060 0.256 0.833
O3 O 0.073 0.464 0.521
O4 O 0.174 0.040 0.673
O5 O 0.188 0.411 0.833
O6 O 0.189 0.239 0.307
O7 O 0.307 0.408 0.196
O8 O 0.309 0.248 0.706
O9 O 0.320 0.029 0.005
O10 O 0.422 0.470 0.938
O11 O 0.436 0.255 0.240
O12 O 0.437 0.091 0.750
O13 O 0.557 0.092 0.127
O14 O 0.558 0.257 0.637
O15 O 0.575 0.469 0.945
O16 O 0.672 0.033 0.870
O17 O 0.688 0.244 0.182
O18 O 0.690 0.407 0.689
O19 O 0.809 0.407 0.068
O20 O 0.810 0.242 0.582
O21 O 0.826 0.036 0.903
O22 O 0.924 0.466 0.812
O23 O 0.939 0.259 0.171
O24 O 0.941 0.090 0.648
```

***

Density functional theory data (PBE) for a relaxed Mg5Si8O30 crystal.

The value obtained for the formation energy is -1.960 eV per atom. The value obtained for the total energy is -568.25 eV for the cell shown.

Geometry as CIF:
```
data_Mg5Si8O30
_cell_length_a 18.471
_cell_length_b 5.281
_cell_length_c 13.423
_cell_angle_alpha 90.00
_cell_angle_beta 90.00
_cell_angle_gamma 90.00
_space_group_name_H-M_alt 'P m n a'
_space_group_IT_number 53
_space_group_name_Hall '-P 2ac 2'
loop_
_atom_site_label
_atom_site_type_symbol
_atom_site_fract_x
_atom_site_fract_y
_atom_site_fract_z
Mg1 Mg 0.000 0.000 0.000
Mg2 Mg 0.102 0.500 0.000
Mg3 Mg 0.167 0.000 0.000
Si1 Si 0.084 0.175 0.209
Si2 Si 0.167 0.317 0.789
O1 O 0.000 0.169 0.245
O2 O 0.000 0.409 0.955
O3 O 0.089 0.160 0.087
O4 O 0.098 0.000 0.500
O5 O 0.124 0.431 0.249
O6 O 0.127 0.068 0.742
O7 O 0.166 0.299 0.910
O8 O 0.186 0.500 0.500
O9 O 0.222 0.314 0.461
O10 O 0.250 0.327 0.750
```

***

Density functional theory data (PBE) for a relaxed MgSiO3 crystal.

The value obtained for the formation energy is -3.216 eV per atom. The value obtained for the total energy is -574.25 eV for the cell shown.

Geometry as CIF:
```
data_MgSiO3
_cell_length_a 18.801
_cell_length_b 8.990
_cell_length_c 5.198
_cell_angle_alpha 90.00
_cell_angle_beta 96.11
_cell_angle_gamma 90.00
_space_group_name_H-M_alt 'P 1 2/c 1'
_space_group_IT_number 13
_space_group_name_Hall '-P 2yc'
loop_
_atom_site_label
_atom_site_type_symbol
_atom_site_fract_x
_atom_site_fract_y
_atom_site_fract_z
Mg1 Mg 0.000 0.098 0.250
Mg2 Mg 0.000 0.262 0.750
Mg3 Mg 0.246 0.239 0.109
Mg4 Mg 0.249 0.401 0.606
Mg5 Mg 0.500 0.099 0.250
Mg6 Mg 0.500 0.261 0.750
Si1 Si 0.100 0.411 0.214
Si2 Si 0.148 0.089 0.642
Si3 Si 0.352 0.091 0.537
Si4 Si 0.395 0.410 0.002
O1 O 0.060 0.091 0.608
O2 O 0.060 0.265 0.096
O3 O 0.074 0.450 0.507
O4 O 0.174 0.051 0.349
O5 O 0.188 0.409 0.249
O6 O 0.189 0.235 0.760
O7 O 0.307 0.408 0.967
O8 O 0.311 0.242 0.442
O9 O 0.324 0.039 0.817
O10 O 0.422 0.462 0.720
O11 O 0.439 0.258 0.050
O12 O 0.440 0.093 0.562
```

***

Density functional theory data (PBE) for a relaxed Mg2Si4O11 crystal.

The value obtained for the formation energy is -2.905 eV per atom. The value obtained for the total energy is -484.64 eV for the cell shown.

Geometry as CIF:
```
data_Mg2Si4O11
_cell_length_a 13.894
_cell_length_b 17.769
_cell_length_c 5.343
_cell_angle_alpha 90.00
_cell_angle_beta 101.47
_cell_angle_gamma 90.00
_space_group_name_H-M_alt 'C 1 2/m 1'
_space_group_IT_number 12
_space_group_name_Hall '-C 2y'
loop_
_atom_site_label
_atom_site_type_symbol
_atom_site_fract_x
_atom_site_fract_y
_atom_site_fract_z
Mg1 Mg 0.000 0.103 0.000
Mg2 Mg 0.000 0.155 0.500
Si1 Si 0.210 0.087 0.401
Si2 Si 0.211 0.167 0.902
O1 O 0.060 0.000 0.903
O2 O 0.091 0.169 0.830
O3 O 0.092 0.100 0.336
O4 O 0.241 0.000 0.471
O5 O 0.245 0.359 0.350
O6 O 0.248 0.390 0.856
O7 O 0.250 0.250 0.000
```

***

Density functional theory data (PBE) for a relaxed MgSiO3 crystal.

The value obtained for the formation energy is -3.186 eV per atom. The value obtained for the total energy is -285.92 eV for the cell shown.

Geometry as CIF:
```
data_MgSiO3
_cell_length_a 9.345
_cell_length_b 9.064
_cell_length_c 4.991
_cell_angle_alpha 90.00
_cell_angle_beta 90.00
_cell_angle_gamma 90.00
_space_group_name_H-M_alt 'P b c n'
_space_group_IT_number 60
_space_group_name_Hall '-P 2n 2ab'
loop_
_atom_site_label
_atom_site_type_symbol
_atom_site_fract_x
_atom_site_fract_y
_atom_site_fract_z
Mg1 Mg 0.000 0.097 0.250
Mg2 Mg 0.000 0.272 0.750
Si1 Si 0.206 0.408 0.171
O1 O 0.121 0.093 0.612
O2 O 0.121 0.264 0.075
O3 O 0.150 0.447 0.483
```

***

Density functional theory data (PBE) for a relaxed Mg2SiO4 crystal.

The value obtained for the formation energy is -3.089 eV per atom. The value obtained for the total energy is -189.16 eV for the cell shown.

Geometry as CIF:
```
data_Mg2SiO4
_cell_length_a 5.109
_cell_length_b 5.785
_cell_length_c 10.033
_cell_angle_alpha 92.07
_cell_angle_beta 99.19
_cell_angle_gamma 107.73
_space_group_name_H-M_alt 'P -1'
_space_group_IT_number 2
_space_group_name_Hall '-P 1'
loop_
_atom_site_label
_atom_site_type_symbol
_atom_site_fract_x
_atom_site_fract_y
_atom_site_fract_z
Mg1 Mg 0.000 0.000 0.000
Mg2 Mg 0.000 0.500 0.000
Mg3 Mg 0.045 0.300 0.278
Mg4 Mg 0.478 0.826 0.592
Mg5 Mg 0.499 0.115 0.856
Si1 Si 0.116 0.247 0.606
Si2 Si 0.492 0.604 0.871
O1 O 0.223 0.831 0.419
O2 O 0.230 0.038 0.684
O3 O 0.240 0.317 0.468
O4 O 0.252 0.523 0.709
O5 O 0.266 0.787 0.930
O6 O 0.287 0.549 0.172
O7 O 0.290 0.329 0.950
O8 O 0.295 0.124 0.179
```